Entry 1:
HoHg2: optimized geometry, PBE.

```
HoHg2
1.0
5.332 0.000 0.000
-2.666 4.617 0.000
0.000 0.000 3.384
Ho Hg
1 2
direct
0.000 0.000 0.000
0.333 0.667 0.917
0.667 0.333 0.083
```

Properties
energy: -1.789 eV/atom
crystal system: trigonal
space-group type: P-3m1

***

Entry 2:
HoHg2: optimized geometry, PBE.

```
HoHg2
1.0
-1.930 1.930 4.995
1.930 -1.930 4.995
1.930 1.930 -4.995
Ho Hg
1 2
direct
0.000 0.000 0.000
0.333 0.333 0.000
0.667 0.667 0.000
```

Properties
energy: -2.047 eV/atom
crystal system: tetragonal
space-group type: I4/mmm

***

Entry 3:
HoHg: optimized geometry, PBE.

```
HoHg
1.0
3.714 0.000 0.000
0.000 3.714 0.000
0.000 0.000 3.714
Ho Hg
1 1
direct
0.000 0.000 0.000
0.500 0.500 0.500
```

Properties
energy: -2.929 eV/atom
crystal system: cubic
space-group type: Pm-3m

***

Entry 4:
Ho3Hg: optimized geometry, PBE.

```
Ho3Hg
1.0
4.787 0.000 0.000
0.000 4.787 0.000
0.000 0.000 4.787
Ho Hg
3 1
direct
0.000 0.000 0.500
0.000 0.500 0.000
0.500 0.000 0.000
0.500 0.500 0.500
```

Properties
energy: -3.662 eV/atom
crystal system: cubic
space-group type: Pm-3m

***

Entry 5:
HoLuHg2: optimized geometry, PBE.

```
HoLuHg2
1.0
0.000 3.682 3.682
3.682 0.000 3.682
3.682 3.682 0.000
Ho Lu Hg
1 1 2
direct
0.000 0.000 0.000
0.500 0.500 0.500
0.250 0.250 0.250
0.750 0.750 0.750
```

Properties
energy: -2.902 eV/atom
crystal system: cubic
space-group type: Fm-3m

***

Entry 6:
Ho2HgOs: optimized geometry, PBE.

```
Ho2HgOs
1.0
0.000 3.536 3.536
3.536 0.000 3.536
3.536 3.536 0.000
Ho Hg Os
2 1 1
direct
0.250 0.250 0.250
0.750 0.750 0.750
0.000 0.000 0.000
0.500 0.500 0.500
```

Properties
energy: -5.456 eV/atom
crystal system: cubic
space-group type: Fm-3m

***

Entry 7:
SmHoHg2: optimized geometry, PBE.

```
SmHoHg2
1.0
0.000 3.760 3.760
3.760 0.000 3.760
3.760 3.760 0.000
Sm Ho Hg
1 1 2
direct
0.000 0.000 0.000
0.500 0.500 0.500
0.250 0.250 0.250
0.750 0.750 0.750
```

Properties
energy: -2.947 eV/atom
crystal system: cubic
space-group type: Fm-3m

***

Entry 8:
TbHoHg2: optimized geometry, PBE.

```
TbHoHg2
1.0
0.000 3.725 3.725
3.725 0.000 3.725
3.725 3.725 0.000
Tb Ho Hg
1 1 2
direct
0.000 0.000 0.000
0.500 0.500 0.500
0.250 0.250 0.250
0.750 0.750 0.750
```

Properties
energy: -2.934 eV/atom
crystal system: cubic
space-group type: Fm-3m

***

Entry 9:
HoTmHg2: optimized geometry, PBE.

```
HoTmHg2
1.0
0.000 3.693 3.693
3.693 0.000 3.693
3.693 3.693 0.000
Ho Tm Hg
1 1 2
direct
0.000 0.000 0.000
0.500 0.500 0.500
0.250 0.250 0.250
0.750 0.750 0.750
```

Properties
energy: -2.894 eV/atom
crystal system: cubic
space-group type: Fm-3m

***

Entry 10:
Ho2ZnHg: optimized geometry, PBE.

```
Ho2ZnHg
1.0
0.000 3.645 3.645
3.645 0.000 3.645
3.645 3.645 0.000
Ho Zn Hg
2 1 1
direct
0.250 0.250 0.250
0.750 0.750 0.750
0.000 0.000 0.000
0.500 0.500 0.500
```

Properties
energy: -3.082 eV/atom
crystal system: cubic
space-group type: Fm-3m

***

Entry 11:
HgI3: optimized geometry, PBE.

```
HgI3
1.0
-2.258 2.258 8.465
2.258 -2.258 8.465
2.258 2.258 -8.465
Hg I
1 3
direct
0.000 0.000 0.000
0.250 0.750 0.500
0.500 0.500 0.000
0.750 0.250 0.500
```

Properties
energy: -1.207 eV/atom
crystal system: tetragonal
space-group type: I4/mmm

***

Entry 12:
HgI: optimized geometry, PBE.

```
HgI
1.0
-2.595 2.595 5.904
2.595 -2.595 5.904
2.595 2.595 -5.904
Hg I
2 2
direct
0.113 0.113 0.000
0.887 0.887 0.000
0.347 0.347 0.000
0.653 0.653 0.000
```

Properties
energy: -1.171 eV/atom
crystal system: tetragonal
space-group type: I4/mmm

***

Entry 13:
K2InHgI6: optimized geometry, PBE.

```
K2InHgI6
1.0
0.000 6.065 6.065
6.065 0.000 6.065
6.065 6.065 0.000
K In Hg I
2 1 1 6
direct
0.250 0.250 0.250
0.750 0.750 0.750
0.000 0.000 0.000
0.500 0.500 0.500
0.246 0.246 0.754
0.246 0.754 0.246
0.246 0.754 0.754
0.754 0.246 0.246
0.754 0.246 0.754
0.754 0.754 0.246
```

Properties
energy: -2.218 eV/atom
crystal system: cubic
space-group type: Fm-3m

***

Entry 14:
Rb2InHgI6: optimized geometry, PBE.

```
Rb2InHgI6
1.0
0.000 6.085 6.085
6.085 0.000 6.085
6.085 6.085 0.000
Rb In Hg I
2 1 1 6
direct
0.250 0.250 0.250
0.750 0.750 0.750
0.000 0.000 0.000
0.500 0.500 0.500
0.246 0.246 0.754
0.246 0.754 0.246
0.246 0.754 0.754
0.754 0.246 0.246
0.754 0.246 0.754
0.754 0.754 0.246
```

Properties
energy: -2.235 eV/atom
crystal system: cubic
space-group type: Fm-3m

***

Entry 15:
KHgI3O: optimized geometry, PBE.

```
KHgI3O
1.0
8.454 0.000 0.000
0.000 8.734 0.000
0.000 0.000 13.092
K Hg I O
4 4 12 4
direct
0.090 0.196 0.000
0.410 0.696 0.500
0.590 0.304 0.000
0.910 0.804 0.500
0.211 0.676 0.173
0.289 0.176 0.673
0.711 0.824 0.173
0.789 0.324 0.673
0.048 0.355 0.515
0.206 0.874 0.697
0.217 0.918 0.308
0.283 0.418 0.808
0.294 0.374 0.197
0.452 0.855 0.015
0.548 0.145 0.515
0.706 0.626 0.697
0.717 0.582 0.308
0.783 0.082 0.808
0.794 0.126 0.197
0.952 0.645 0.015
0.118 0.562 0.520
0.382 0.062 0.020
0.618 0.938 0.520
0.882 0.438 0.020
```

Properties
energy: -2.389 eV/atom
crystal system: orthorhombic
space-group type: Pna2_1

***

Entry 16:
K2HgSbI6: optimized geometry, PBE.

```
K2HgSbI6
1.0
0.000 6.146 6.146
6.146 0.000 6.146
6.146 6.146 0.000
K Hg Sb I
2 1 1 6
direct
0.250 0.250 0.250
0.750 0.750 0.750
0.000 0.000 0.000
0.500 0.500 0.500
0.254 0.254 0.746
0.254 0.746 0.254
0.254 0.746 0.746
0.746 0.254 0.254
0.746 0.254 0.746
0.746 0.746 0.254
```

Properties
energy: -2.302 eV/atom
crystal system: cubic
space-group type: Fm-3m

***

Entry 17:
K2ScHgI6: optimized geometry, PBE.

```
K2ScHgI6
1.0
0.000 6.088 6.088
6.088 0.000 6.088
6.088 6.088 0.000
K Sc Hg I
2 1 1 6
direct
0.250 0.250 0.250
0.750 0.750 0.750
0.000 0.000 0.000
0.500 0.500 0.500
0.238 0.238 0.762
0.238 0.762 0.238
0.238 0.762 0.762
0.762 0.238 0.238
0.762 0.238 0.762
0.762 0.762 0.238
```

Properties
energy: -2.819 eV/atom
crystal system: cubic
space-group type: Fm-3m

***

Entry 18:
K2TlHgI6: optimized geometry, PBE.

```
K2TlHgI6
1.0
0.000 6.131 6.131
6.131 0.000 6.131
6.131 6.131 0.000
K Tl Hg I
2 1 1 6
direct
0.250 0.250 0.250
0.750 0.750 0.750
0.000 0.000 0.000
0.500 0.500 0.500
0.254 0.254 0.746
0.254 0.746 0.254
0.254 0.746 0.746
0.746 0.254 0.254
0.746 0.254 0.746
0.746 0.746 0.254
```

Properties
energy: -2.123 eV/atom
crystal system: cubic
space-group type: Fm-3m

***

Entry 19:
HgS2I2N4: optimized geometry, PBE.

```
HgS2I2N4
1.0
9.269 0.000 0.000
0.000 9.269 0.000
0.000 0.000 13.277
Hg S I N
4 8 8 16
direct
0.250 0.250 0.038
0.250 0.250 0.538
0.750 0.750 0.462
0.750 0.750 0.962
0.103 0.750 0.176
0.250 0.603 0.324
0.250 0.897 0.324
0.397 0.750 0.176
0.603 0.250 0.824
0.750 0.103 0.676
0.750 0.397 0.676
0.897 0.250 0.824
0.013 0.750 0.547
0.250 0.513 0.953
0.250 0.987 0.953
0.487 0.750 0.547
0.513 0.250 0.453
0.750 0.013 0.047
0.750 0.487 0.047
0.987 0.250 0.453
0.063 0.250 0.163
0.109 0.609 0.250
0.109 0.891 0.250
0.250 0.063 0.663
0.250 0.437 0.663
0.391 0.609 0.250
0.391 0.891 0.250
0.437 0.250 0.163
0.563 0.750 0.837
0.609 0.109 0.750
0.609 0.391 0.750
0.750 0.563 0.337
0.750 0.937 0.337
0.891 0.109 0.750
0.891 0.391 0.750
0.937 0.750 0.837
```

Properties
energy: -3.662 eV/atom
crystal system: tetragonal
space-group type: P4_2/nmc

***

Entry 20:
SrHgI4O8: optimized geometry, PBE.

```
SrHgI4O8
1.0
14.985 0.000 0.000
0.000 6.939 0.000
0.000 0.000 11.575
Sr Hg I O
4 4 16 32
direct
0.066 0.250 0.238
0.434 0.750 0.738
0.566 0.250 0.262
0.934 0.750 0.762
0.182 0.750 0.322
0.318 0.250 0.822
0.682 0.750 0.178
0.818 0.250 0.678
0.002 0.250 0.893
0.014 0.250 0.523
0.244 0.051 0.548
0.244 0.449 0.548
0.256 0.551 0.048
0.256 0.949 0.048
0.486 0.750 0.023
0.498 0.750 0.393
0.502 0.250 0.607
0.514 0.250 0.977
0.744 0.051 0.952
0.744 0.449 0.952
0.756 0.551 0.452
0.756 0.949 0.452
0.986 0.750 0.477
0.998 0.750 0.107
0.045 0.043 0.813
0.045 0.457 0.813
0.066 0.554 0.414
0.066 0.946 0.414
0.073 0.250 0.021
0.177 0.250 0.426
0.178 0.512 0.187
0.178 0.988 0.187
0.322 0.012 0.687
0.322 0.488 0.687
0.323 0.750 0.926
0.427 0.750 0.521
0.434 0.054 0.914
0.434 0.446 0.914
0.455 0.543 0.313
0.455 0.957 0.313
0.545 0.043 0.687
0.545 0.457 0.687
0.566 0.554 0.086
0.566 0.946 0.086
0.573 0.250 0.479
0.677 0.250 0.074
0.678 0.512 0.313
0.678 0.988 0.313
0.822 0.012 0.813
0.822 0.488 0.813
0.823 0.750 0.574
0.927 0.750 0.979
0.934 0.054 0.586
0.934 0.446 0.586
0.955 0.543 0.187
0.955 0.957 0.187
```

Properties
energy: -3.902 eV/atom
crystal system: orthorhombic
space-group type: Pnma

***

Entry 21:
Hg2PbS2I2: optimized geometry, PBE.

```
Hg2PbS2I2
1.0
13.817 0.000 0.000
0.000 13.817 0.000
0.000 0.000 4.711
Hg Pb S I
8 4 8 8
direct
0.086 0.168 0.000
0.168 0.914 0.000
0.332 0.414 0.000
0.414 0.668 0.000
0.586 0.332 0.000
0.668 0.586 0.000
0.832 0.086 0.000
0.914 0.832 0.000
0.137 0.637 0.500
0.363 0.137 0.500
0.637 0.863 0.500
0.863 0.363 0.500
0.075 0.763 0.000
0.237 0.075 0.000
0.263 0.575 0.000
0.425 0.263 0.000
0.575 0.737 0.000
0.737 0.425 0.000
0.763 0.925 0.000
0.925 0.237 0.000
0.000 0.000 0.500
0.000 0.500 0.000
0.194 0.306 0.500
0.306 0.806 0.500
0.500 0.000 0.000
0.500 0.500 0.500
0.694 0.194 0.500
0.806 0.694 0.500
```

Properties
energy: -2.574 eV/atom
crystal system: tetragonal
space-group type: P4/mbm